NaTa2SiGe2P5O24 after structural relaxation. Source: Materials Project, functional PBE.

Structure (CIF):
```
data_NaTa2SiGe2P5O24
_cell_length_a 8.6020
_cell_length_b 8.6034
_cell_length_c 22.1794
_cell_angle_alpha 89.94
_cell_angle_beta 89.96
_cell_angle_gamma 60.01
_symmetry_space_group_name_H-M 'P 1'
_symmetry_Int_Tables_number 1
_symmetry_space_group_name_Hall 'P 1'
loop_
_atom_site_label
_atom_site_type_symbol
_atom_site_fract_x
_atom_site_fract_y
_atom_site_fract_z
_atom_site_occupancy
Na1 Na 0.0000 0.0000 0.0000 1
Na2 Na 0.9998 0.0028 0.5079 1
Na3 Na 0.3346 0.3341 0.1686 1
Ta1 Ta 0.9999 0.0029 0.3624 1
Ta2 Ta 0.9996 0.9987 0.1472 1
Ta3 Ta 0.3300 0.3326 0.5312 1
Ta4 Ta 0.3336 0.3349 0.8082 1
Ta5 Ta 0.6616 0.6710 0.1928 1
Ta6 Ta 0.6637 0.6725 0.9765 1
Si1 Si 0.0399 0.3503 0.4204 1
Si2 Si 0.3804 0.6573 0.0843 1
Si3 Si 0.6553 0.9644 0.0840 1
Ge1 Ge 0.9998 0.0007 0.8541 1
Ge2 Ge 0.9998 0.0018 0.6500 1
Ge3 Ge 0.3305 0.3364 0.3202 1
Ge4 Ge 0.3358 0.3343 0.0234 1
Ge5 Ge 0.6672 0.6668 0.6924 1
Ge6 Ge 0.6691 0.6654 0.4822 1
P1 P 0.0101 0.7021 0.2556 1
P2 P 0.0551 0.6237 0.9192 1
P3 P 0.2863 0.7275 0.7514 1
P4 P 0.2878 0.0115 0.2555 1
P5 P 0.3205 0.0572 0.9191 1
P6 P 0.3453 0.6127 0.4208 1
P7 P 0.3844 0.9394 0.5886 1
P8 P 0.6110 0.0444 0.4209 1
P9 P 0.6254 0.3223 0.9189 1
P10 P 0.6763 0.3835 0.5889 1
P11 P 0.7015 0.2898 0.2558 1
P12 P 0.7260 0.9884 0.7514 1
P13 P 0.9402 0.6794 0.5889 1
P14 P 0.9585 0.3836 0.0848 1
P15 P 0.9880 0.2873 0.7514 1
O1 O 0.0234 0.1666 0.4135 1
O2 O 0.0313 0.8137 0.9117 1
O3 O 0.0354 0.1648 0.6958 1
O4 O 0.0367 0.7943 0.1989 1
O5 O 0.1310 0.5115 0.5801 1
O6 O 0.1319 0.3753 0.3599 1
O7 O 0.1398 0.5061 0.8631 1
O8 O 0.1436 0.3634 0.0776 1
O9 O 0.1555 0.0319 0.9116 1
O10 O 0.1580 0.3063 0.7614 1
O11 O 0.1638 0.8027 0.6957 1
O12 O 0.1696 0.5404 0.9765 1
O13 O 0.1708 0.0401 0.1990 1
O14 O 0.1711 0.8007 0.4129 1
O15 O 0.1718 0.3017 0.4789 1
O16 O 0.1817 0.5186 0.2604 1
O17 O 0.1872 0.8411 0.0939 1
O18 O 0.1909 0.9687 0.5948 1
O19 O 0.1996 0.9767 0.3102 1
O20 O 0.2049 0.8395 0.8095 1
O21 O 0.2891 0.1711 0.9764 1
O22 O 0.3037 0.5325 0.4765 1
O23 O 0.3051 0.5384 0.7613 1
O24 O 0.3095 0.1768 0.2615 1
O25 O 0.3534 0.4872 0.0773 1
O26 O 0.3560 0.1403 0.8632 1
O27 O 0.3656 0.1285 0.5803 1
O28 O 0.3765 0.5012 0.3629 1
O29 O 0.4632 0.8286 0.5305 1
O30 O 0.4698 0.6984 0.0266 1
O31 O 0.4714 0.8396 0.2478 1
O32 O 0.4751 0.6998 0.7435 1
O33 O 0.4776 0.1561 0.0770 1
O34 O 0.4911 0.8702 0.9258 1
O35 O 0.5013 0.6275 0.1448 1
O36 O 0.5011 0.8632 0.6450 1
O37 O 0.5023 0.1286 0.3629 1
O38 O 0.5031 0.6425 0.4305 1
O39 O 0.5062 0.3579 0.8631 1
O40 O 0.5090 0.3616 0.5795 1
O41 O 0.5161 0.3074 0.2629 1
O42 O 0.5354 0.1673 0.4766 1
O43 O 0.5371 0.1587 0.7615 1
O44 O 0.5429 0.2897 0.9761 1
O45 O 0.6312 0.8606 0.4306 1
O46 O 0.6313 0.8697 0.1447 1
O47 O 0.6359 0.5003 0.6454 1
O48 O 0.6455 0.4896 0.9267 1
O49 O 0.6907 0.4717 0.2475 1
O50 O 0.6984 0.8274 0.7433 1
O51 O 0.7039 0.8321 0.0264 1
O52 O 0.7095 0.4630 0.5313 1
O53 O 0.7897 0.1727 0.1992 1
O54 O 0.8012 0.0361 0.6958 1
O55 O 0.8027 0.0224 0.4130 1
O56 O 0.8146 0.1550 0.9112 1
O57 O 0.8240 0.1995 0.3106 1
O58 O 0.8266 0.4761 0.7435 1
O59 O 0.8278 0.7137 0.5313 1
O60 O 0.8334 0.9841 0.0937 1
O61 O 0.8384 0.9573 0.8095 1
O62 O 0.8390 0.4630 0.0290 1
O63 O 0.8430 0.1908 0.5953 1
O64 O 0.8431 0.6848 0.2460 1
O65 O 0.8441 0.5183 0.4312 1
O66 O 0.8650 0.6367 0.6453 1
O67 O 0.8699 0.6385 0.9263 1
O68 O 0.8741 0.4961 0.1424 1
O69 O 0.9569 0.2058 0.8095 1
O70 O 0.9681 0.8445 0.5954 1
O71 O 0.9755 0.1971 0.0942 1
O72 O 0.9753 0.8240 0.3102 1
```

Calculated values
- Formation enthalpy at 0 K: -97.07 eV per formula unit
- Energy with MP2020 corrections: -8.07 eV per atom
- Final energy: -798.31 eV for the cell shown